# 1
Here is a relaxed structure of Rb2TaCuI6 from the Materials Project. Energies are from PBE.

total magnetization = 2.0 μB per formula unit
DFT total energy = -3.321 eV per atom

Cell: 11.495 11.495 11.495 Å, 90.00 90.00 90.00°
Space group Fm-3m (No. 225)
One atom of each set of equivalent atoms:
Rb  0.250  0.250  0.250 x8
Ta  0.000  0.000  0.000 x4
Cu  0.000  0.000  0.500 x4
I  0.000  0.000  0.249 x24


# 2
Here is a relaxed structure of CuTe2I from the Materials Project. Energies are from PBE.

DFT total energy = -3.098 eV per atom

Cell: 8.654 5.232 13.247 Å, 90.00 115.30 90.00°
Space group P2_1/c (No. 14)
One atom of each set of equivalent atoms:
Cu  0.189  0.134  0.250 x4
Te  0.284  0.024  0.650 x4
Te  0.414  0.711  0.847 x4
I  0.091  0.119  0.887 x4


# 3
Here is a relaxed structure of InCu2 from the Materials Project. Energies are from PBE.

total magnetization = 0.0 μB per formula unit
DFT total energy = -3.551 eV per atom

Cell: 4.4547 4.4547 5.3682 Å, 90.00 90.00 120.00°
Space group P6_3/mmc (No. 194)
One atom of each set of equivalent atoms:
In  0.3333  0.6667  0.2500 x2
Cu  0.0000  0.0000  0.0000 x2
Cu  0.3333  0.6667  0.7500 x2


# 4
Here is a relaxed structure of In9Cu11 from the Materials Project. Energies are from PBE.

DFT total energy = -3.483 eV per atom

Cell: 7.530 4.399 10.403 Å, 90.00 90.61 90.00°
Space group P2/m (No. 10)
One atom of each set of equivalent atoms:
In  0.000  0.000  0.000 x1
In  0.141  0.500  0.612 x2
In  0.198  0.500  0.158 x2
In  0.306  0.000  0.359 x2
In  0.385  0.000  0.877 x2
Cu  0.000  0.000  0.500 x1
Cu  0.030  0.000  0.749 x2
Cu  0.173  0.500  0.880 x2
Cu  0.342  0.000  0.615 x2
Cu  0.473  0.500  0.737 x2
Cu  0.500  0.500  0.000 x1
Cu  0.500  0.500  0.500 x1


# 5
Here is a relaxed structure of In3Cu from the Materials Project. Energies are from PBE.

total magnetization = 0.0 μB per formula unit
DFT total energy = -2.912 eV per atom

Cell: 7.0476 7.0476 4.4288 Å, 90.00 90.00 120.00°
Space group P6_3/mmc (No. 194)
One atom of each set of equivalent atoms:
In  0.1805  0.3610  0.2500 x6
Cu  0.3333  0.6667  0.7500 x2


# 6
Here is a relaxed structure of InCu from the Materials Project. Energies are from PBE.

DFT total energy = -3.365 eV per atom

Cell: 4.1776 4.1776 5.0840 Å, 90.00 90.00 120.00°
Space group P6_3/mmc (No. 194)
One atom of each set of equivalent atoms:
In  0.3333  0.6667  0.2500 x2
Cu  0.0000  0.0000  0.0000 x2


Look up the DFT total energy of the second one. -3.098 eV per atom


What is the DFT total energy in the first record? -3.321 eV per atom


Look up the DFT total energy of the sixth one. -3.365 eV per atom